Model A:
Entry from the Materials Project database: an optimized crystal structure of Li7Co5O12 (GGA+U).

Computed properties:
Space group: No. 2
Spin magnetization, μB per cell: 22.0

Cell: 6.432 6.592 10.065 Å, 81.66 83.51 83.59°
Atoms (fractional coordinates):
1 Li 0.000 0.001 0.250
2 Li 0.000 0.999 0.750
3 Li 0.086 0.418 0.621
4 Li 0.088 0.418 0.122
5 Li 0.242 0.241 0.369
6 Li 0.243 0.238 0.866
7 Li 0.417 0.082 0.621
8 Li 0.419 0.084 0.119
9 Li 0.581 0.916 0.881
10 Li 0.583 0.918 0.379
11 Li 0.757 0.762 0.134
12 Li 0.758 0.759 0.631
13 Li 0.912 0.582 0.878
14 Li 0.914 0.582 0.379
15 Co 0.162 0.839 0.498
16 Co 0.164 0.840 0.998
17 Co 0.324 0.677 0.251
18 Co 0.325 0.674 0.751
19 Co 0.500 0.500 0.000
20 Co 0.500 0.500 0.500
21 Co 0.675 0.326 0.249
22 Co 0.676 0.323 0.749
23 Co 0.836 0.160 0.002
24 Co 0.838 0.161 0.502
25 O 0.062 0.712 0.678
26 O 0.062 0.714 0.177
27 O 0.109 0.112 0.551
28 O 0.109 0.114 0.051
29 O 0.208 0.568 0.440
30 O 0.218 0.566 0.943
31 O 0.282 0.944 0.329
32 O 0.283 0.943 0.828
33 O 0.389 0.378 0.683
34 O 0.394 0.385 0.181
35 O 0.437 0.793 0.062
36 O 0.438 0.788 0.561
37 O 0.562 0.212 0.439
38 O 0.563 0.207 0.938
39 O 0.606 0.615 0.819
40 O 0.611 0.622 0.317
41 O 0.717 0.057 0.172
42 O 0.718 0.056 0.671
43 O 0.782 0.434 0.057
44 O 0.792 0.432 0.560
45 O 0.891 0.886 0.949
46 O 0.891 0.888 0.449
47 O 0.938 0.286 0.823
48 O 0.938 0.288 0.322

Model B:
Entry from the Materials Project database: an optimized crystal structure of Li7Co5O12 (GGA+U).

Computed properties:
Space group: No. 10
Spin magnetization, μB per cell: 2.0

Cell: 5.908 2.886 12.595 Å, 90.00 103.26 90.00°
Atoms (fractional coordinates):
1 Li 0.000 0.000 0.000
2 Li 0.000 0.500 0.500
3 Li 0.164 0.000 0.332
4 Li 0.321 0.500 0.158
5 Li 0.500 0.000 0.000
6 Li 0.679 0.500 0.842
7 Li 0.836 0.000 0.668
8 Co 0.165 0.500 0.840
9 Co 0.329 0.000 0.668
10 Co 0.500 0.500 0.500
11 Co 0.671 0.000 0.332
12 Co 0.835 0.500 0.160
13 O 0.051 0.000 0.167
14 O 0.099 0.500 0.677
15 O 0.243 0.500 0.986
16 O 0.261 0.000 0.505
17 O 0.384 0.000 0.830
18 O 0.432 0.500 0.337
19 O 0.568 0.500 0.663
20 O 0.616 0.000 0.170
21 O 0.739 0.000 0.495
22 O 0.757 0.500 0.014
23 O 0.901 0.500 0.323
24 O 0.949 0.000 0.833

Which structure is most stable, and how do the rest compare? From most to least stable: model B, model A.

Model A:
Entry from the Materials Project database: an optimized crystal structure of Mn3O2F4 (GGA+U).

Computed properties:
Space group: No. 2
Spin magnetization, μB per cell: 26.0

Cell: 4.821 5.790 7.966 Å, 86.41 89.67 88.71°
Atoms (fractional coordinates):
1 Mn 0.000 0.000 0.000
2 Mn 0.005 0.335 0.650
3 Mn 0.459 0.177 0.324
4 Mn 0.500 0.500 0.000
5 Mn 0.541 0.823 0.676
6 Mn 0.995 0.665 0.350
7 O 0.184 0.374 0.429
8 O 0.316 0.222 0.096
9 O 0.684 0.778 0.904
10 O 0.816 0.626 0.571
11 F 0.197 0.709 0.125
12 F 0.203 0.036 0.751
13 F 0.296 0.527 0.783
14 F 0.323 0.861 0.450
15 F 0.677 0.139 0.550
16 F 0.704 0.473 0.217
17 F 0.797 0.964 0.249
18 F 0.803 0.291 0.875

Model B:
Entry from the Materials Project database: an optimized crystal structure of Mn3O2F4 (GGA+U).

Computed properties:
Space group: No. 102
Spin magnetization, μB per cell: 0.0

Cell: 4.896 4.896 9.359 Å, 90.00 90.00 90.00°
Atoms (fractional coordinates):
1 Mn 0.000 0.000 0.000
2 Mn 0.000 0.000 0.301
3 Mn 0.000 0.000 0.649
4 Mn 0.500 0.500 0.149
5 Mn 0.500 0.500 0.500
6 Mn 0.500 0.500 0.801
7 O 0.183 0.183 0.150
8 O 0.317 0.683 0.650
9 O 0.683 0.317 0.650
10 O 0.817 0.817 0.150
11 F 0.186 0.186 0.837
12 F 0.187 0.187 0.465
13 F 0.313 0.687 0.965
14 F 0.314 0.686 0.337
15 F 0.686 0.314 0.337
16 F 0.687 0.313 0.965
17 F 0.813 0.813 0.465
18 F 0.814 0.814 0.837

Which structure is most stable, and how do the rest compare? From most to least stable: model B, model A.